# 1
Compound: Th2Cu
Source: the Materials Project
Functional: r²SCAN
Structure: optimized geometry

Output
Total magnetization   0.00 μB per atom
DFT formation energy   -0.082 eV/atom
SG   I4/mcm, No. 140
Crystal system   tetragonal

Cell lengths 5.746, 5.913, 5.913 Å; angles 76.35, 60.93, 60.93 degrees
Positions (direct):
Th (0.161, 0.500, 0.178)
Th (0.339, 0.822, 0.500)
Th (0.661, 0.178, 0.500)
Th (0.839, 0.500, 0.822)
Cu (0.250, 0.000, 0.000)
Cu (0.750, 0.000, 0.000)

***

# 2
Compound: PrHfF7
Source: the Materials Project
Functional: r²SCAN
Structure: optimized geometry

Output
Total magnetization   0.00 μB per atom
DFT formation energy   -4.231 eV/atom
SG   P2_1, No. 4
Crystal system   monoclinic

Cell lengths 5.776, 6.247, 8.405 Å; angles 101.94, 90.00, 90.00 degrees
Positions (direct):
Pr (0.701, 0.661, 0.688)
Pr (0.201, 0.339, 0.312)
Hf (0.711, 0.807, 0.223)
Hf (0.211, 0.193, 0.777)
F (0.872, 0.436, 0.468)
F (0.372, 0.564, 0.532)
F (0.430, 0.947, 0.775)
F (0.930, 0.053, 0.225)
F (0.956, 0.973, 0.761)
F (0.456, 0.027, 0.239)
F (0.999, 0.447, 0.786)
F (0.499, 0.553, 0.214)
F (0.701, 0.755, 0.982)
F (0.201, 0.245, 0.018)
F (0.717, 0.858, 0.465)
F (0.217, 0.142, 0.535)
F (0.490, 0.384, 0.788)
F (0.990, 0.616, 0.212)

***

# 3
Compound: CaTi8S16
Source: the Materials Project
Functional: r²SCAN
Structure: optimized geometry

Output
Total magnetization   0.00 μB per atom
DFT formation energy   -1.587 eV/atom
SG   P-3m1, No. 164
Crystal system   trigonal

Cell lengths 6.849, 6.849, 12.787 Å; angles 90.00, 90.00, 120.00 degrees
Positions (direct):
Ca (0.000, 0.000, 0.000)
Ti (0.502, 0.498, 0.730)
Ti (0.498, 0.502, 0.270)
Ti (0.502, 0.004, 0.730)
Ti (0.498, 0.996, 0.270)
Ti (0.996, 0.498, 0.730)
Ti (0.004, 0.502, 0.270)
Ti (0.000, 0.000, 0.725)
Ti (0.000, 0.000, 0.275)
S (0.834, 0.667, 0.157)
S (0.833, 0.665, 0.620)
S (0.834, 0.166, 0.157)
S (0.833, 0.167, 0.620)
S (0.333, 0.667, 0.157)
S (0.333, 0.667, 0.623)
S (0.333, 0.166, 0.157)
S (0.335, 0.167, 0.620)
S (0.667, 0.833, 0.843)
S (0.665, 0.833, 0.380)
S (0.667, 0.333, 0.843)
S (0.667, 0.333, 0.377)
S (0.167, 0.833, 0.843)
S (0.167, 0.833, 0.380)
S (0.167, 0.333, 0.843)
S (0.167, 0.335, 0.380)

***

Calculated density: 11.42, 5.06, 2.99 (g cm⁻³)